# GGA-PBE Rb3Na, relaxed
data_Rb3Na
_chemical_formula_sum 'Rb3 Na1'
_space_group_name_H-M_alt 'P 1'
_space_group_IT_number 1
_space_group_name_Hall 'P 1'
_cell_length_a 8.3300
_cell_length_b 8.3300
_cell_length_c 8.3300
_cell_angle_alpha 133.63
_cell_angle_beta 133.63
_cell_angle_gamma 67.67
loop_
_atom_site_label
_atom_site_type_symbol
_atom_site_fract_x
_atom_site_fract_y
_atom_site_fract_z
Rb1 Rb 0.0000 0.0000 0.0000
Rb2 Rb 0.2500 0.7500 0.5000
Rb3 Rb 0.7500 0.2500 0.5000
Na1 Na 0.5000 0.5000 0.0000
# - final energy (eV per cell) = -4.058


# GGA-PBE HfTe8Cl6, relaxed
data_HfTe8Cl6
_chemical_formula_sum 'Hf2 Te16 Cl12'
_space_group_name_H-M_alt 'P 1'
_space_group_IT_number 1
_space_group_name_Hall 'P 1'
_cell_length_a 7.3233
_cell_length_b 9.0044
_cell_length_c 16.9978
_cell_angle_alpha 103.95
_cell_angle_beta 100.11
_cell_angle_gamma 93.66
loop_
_atom_site_label
_atom_site_type_symbol
_atom_site_fract_x
_atom_site_fract_y
_atom_site_fract_z
Hf1 Hf 0.0000 0.0000 0.0000
Hf2 Hf 0.0000 0.0000 0.5000
Te1 Te 0.2099 0.4479 0.2219
Te2 Te 0.2350 0.6663 0.6703
Te3 Te 0.2851 0.5001 0.8885
Te4 Te 0.2850 0.7035 0.1630
Te5 Te 0.3413 0.2512 0.7684
Te6 Te 0.3533 0.5720 0.3909
Te7 Te 0.4511 0.7239 0.8261
Te8 Te 0.4593 0.2869 0.4016
Te9 Te 0.5407 0.7131 0.5984
Te10 Te 0.5489 0.2761 0.1739
Te11 Te 0.6467 0.4280 0.6091
Te12 Te 0.6587 0.7488 0.2316
Te13 Te 0.7150 0.2965 0.8370
Te14 Te 0.7149 0.4999 0.1115
Te15 Te 0.7650 0.3337 0.3297
Te16 Te 0.7901 0.5521 0.7781
Cl1 Cl 0.0049 0.0615 0.1484
Cl2 Cl 0.0691 0.2625 0.4822
Cl3 Cl 0.0957 0.8865 0.3692
Cl4 Cl 0.1650 0.2587 0.0153
Cl5 Cl 0.3020 0.8937 0.0239
Cl6 Cl 0.3243 0.0158 0.5755
Cl7 Cl 0.6757 0.9842 0.4245
Cl8 Cl 0.6980 0.1063 0.9761
Cl9 Cl 0.8350 0.7413 0.9847
Cl10 Cl 0.9043 0.1135 0.6308
Cl11 Cl 0.9309 0.7375 0.5178
Cl12 Cl 0.9951 0.9385 0.8516
# - final energy (eV per cell) = -113.669


# GGA-PBE AlH12, relaxed
data_AlH12
_chemical_formula_sum 'Al2 H24'
_space_group_name_H-M_alt 'P 1'
_space_group_IT_number 1
_space_group_name_Hall 'P 1'
_cell_length_a 7.6397
_cell_length_b 7.6397
_cell_length_c 7.6397
_cell_angle_alpha 60.00
_cell_angle_beta 60.00
_cell_angle_gamma 60.00
loop_
_atom_site_label
_atom_site_type_symbol
_atom_site_fract_x
_atom_site_fract_y
_atom_site_fract_z
Al1 Al 0.1250 0.1250 0.1250
Al2 Al 0.8750 0.8750 0.8750
H1 H 0.1819 0.1819 0.5191
H2 H 0.1819 0.1819 0.6171
H3 H 0.1819 0.5191 0.1819
H4 H 0.1819 0.5191 0.6171
H5 H 0.1819 0.6171 0.1819
H6 H 0.1819 0.6171 0.5191
H7 H 0.3829 0.4809 0.8181
H8 H 0.3829 0.8181 0.4809
H9 H 0.3829 0.8181 0.8181
H10 H 0.4809 0.3829 0.8181
H11 H 0.4809 0.8181 0.3829
H12 H 0.4809 0.8181 0.8181
H13 H 0.5191 0.1819 0.1819
H14 H 0.5191 0.1819 0.6171
H15 H 0.5191 0.6171 0.1819
H16 H 0.6171 0.1819 0.1819
H17 H 0.6171 0.1819 0.5191
H18 H 0.6171 0.5191 0.1819
H19 H 0.8181 0.3829 0.4809
H20 H 0.8181 0.3829 0.8181
H21 H 0.8181 0.4809 0.3829
H22 H 0.8181 0.4809 0.8181
H23 H 0.8181 0.8181 0.3829
H24 H 0.8181 0.8181 0.4809
# - final energy (eV per cell) = -82.541


# GGA-PBE Rb2InCl5O, relaxed
data_Rb2InCl5O
_chemical_formula_sum 'Rb8 In4 Cl20 O4'
_space_group_name_H-M_alt 'P 1'
_space_group_IT_number 1
_space_group_name_Hall 'P 1'
_cell_length_a 13.4807
_cell_length_b 10.7471
_cell_length_c 7.8302
_cell_angle_alpha 90.00
_cell_angle_beta 90.00
_cell_angle_gamma 90.00
loop_
_atom_site_label
_atom_site_type_symbol
_atom_site_fract_x
_atom_site_fract_y
_atom_site_fract_z
Rb1 Rb 0.1401 0.0125 0.1623
Rb2 Rb 0.1401 0.4875 0.1623
Rb3 Rb 0.3599 0.5125 0.6623
Rb4 Rb 0.3599 0.9875 0.6623
Rb5 Rb 0.6401 0.0125 0.3377
Rb6 Rb 0.6401 0.4875 0.3377
Rb7 Rb 0.8599 0.5125 0.8377
Rb8 Rb 0.8599 0.9875 0.8377
In1 In 0.1101 0.2500 0.7298
In2 In 0.3899 0.7500 0.2298
In3 In 0.6101 0.2500 0.7702
In4 In 0.8899 0.7500 0.2702
Cl1 Cl 0.0094 0.7500 0.0282
Cl2 Cl 0.1008 0.0178 0.7004
Cl3 Cl 0.1008 0.4822 0.7004
Cl4 Cl 0.2055 0.2500 0.4087
Cl5 Cl 0.2311 0.7500 0.3840
Cl6 Cl 0.2689 0.2500 0.8840
Cl7 Cl 0.2945 0.7500 0.9087
Cl8 Cl 0.3992 0.5178 0.2004
Cl9 Cl 0.3992 0.9822 0.2004
Cl10 Cl 0.4906 0.2500 0.5282
Cl11 Cl 0.5094 0.7500 0.4718
Cl12 Cl 0.6008 0.0178 0.7996
Cl13 Cl 0.6008 0.4822 0.7996
Cl14 Cl 0.7055 0.2500 0.0913
Cl15 Cl 0.7311 0.7500 0.1160
Cl16 Cl 0.7689 0.2500 0.6160
Cl17 Cl 0.7945 0.7500 0.5913
Cl18 Cl 0.8992 0.5178 0.2997
Cl19 Cl 0.8992 0.9822 0.2997
Cl20 Cl 0.9906 0.2500 0.9718
O1 O 0.0338 0.2500 0.4839
O2 O 0.4662 0.7500 0.9839
O3 O 0.5338 0.2500 0.0161
O4 O 0.9662 0.7500 0.5161
# - final energy (eV per cell) = -117.121


# GGA-PBE Bi5IO7, relaxed
data_Bi5IO7
_chemical_formula_sum 'Bi20 I4 O28'
_space_group_name_H-M_alt 'P 1'
_space_group_IT_number 1
_space_group_name_Hall 'P 1'
_cell_length_a 14.7371
_cell_length_b 14.7371
_cell_length_c 14.7371
_cell_angle_alpha 158.53
_cell_angle_beta 111.25
_cell_angle_gamma 72.96
loop_
_atom_site_label
_atom_site_type_symbol
_atom_site_fract_x
_atom_site_fract_y
_atom_site_fract_z
Bi1 Bi 0.0173 0.4809 0.6194
Bi2 Bi 0.0475 0.2975 0.7500
Bi3 Bi 0.1172 0.2303 0.9673
Bi4 Bi 0.1385 0.0191 0.0364
Bi5 Bi 0.2370 0.8501 0.4673
Bi6 Bi 0.2630 0.7303 0.6131
Bi7 Bi 0.3615 0.3979 0.8806
Bi8 Bi 0.3828 0.3501 0.1131
Bi9 Bi 0.4525 0.2025 0.2500
Bi10 Bi 0.4827 0.1021 0.4636
Bi11 Bi 0.5173 0.8979 0.5364
Bi12 Bi 0.5475 0.7975 0.7500
Bi13 Bi 0.6172 0.6499 0.8869
Bi14 Bi 0.6385 0.6021 0.1194
Bi15 Bi 0.7370 0.2697 0.3869
Bi16 Bi 0.7630 0.1499 0.5327
Bi17 Bi 0.8615 0.9809 0.9636
Bi18 Bi 0.8828 0.7697 0.0327
Bi19 Bi 0.9525 0.7025 0.2500
Bi20 Bi 0.9827 0.5191 0.3806
I1 I 0.1568 0.9068 0.2500
I2 I 0.3432 0.5932 0.7500
I3 I 0.6568 0.4068 0.2500
I4 I 0.8432 0.0932 0.7500
O1 O 0.0056 0.1326 0.0387
O2 O 0.0766 0.4762 0.0606
O3 O 0.0844 0.9840 0.5606
O4 O 0.0907 0.5752 0.3657
O5 O 0.0939 0.6326 0.6271
O6 O 0.2095 0.0752 0.9845
O7 O 0.2500 0.0014 0.7514
O8 O 0.2500 0.5014 0.2514
O9 O 0.2905 0.2750 0.8657
O10 O 0.4061 0.0332 0.5387
O11 O 0.4093 0.7750 0.4845
O12 O 0.4156 0.9762 0.8996
O13 O 0.4234 0.4840 0.3996
O14 O 0.4944 0.5332 0.1271
O15 O 0.5056 0.4668 0.8729
O16 O 0.5766 0.5160 0.6004
O17 O 0.5844 0.0238 0.1004
O18 O 0.5907 0.2250 0.5155
O19 O 0.5939 0.9668 0.4613
O20 O 0.7095 0.7250 0.1343
O21 O 0.7500 0.4986 0.7486
O22 O 0.7500 0.9986 0.2486
O23 O 0.7905 0.9248 0.0155
O24 O 0.9061 0.3674 0.3729
O25 O 0.9093 0.4248 0.6343
O26 O 0.9156 0.0160 0.4394
O27 O 0.9234 0.5238 0.9394
O28 O 0.9944 0.8674 0.9613
# - final energy (eV per cell) = -283.705


# GGA-PBE SiAg2S6O21, relaxed
data_SiAg2S6O21
_chemical_formula_sum 'Si6 Ag12 S36 O126'
_space_group_name_H-M_alt 'P 1'
_space_group_IT_number 1
_space_group_name_Hall 'P 1'
_cell_length_a 16.3133
_cell_length_b 16.3133
_cell_length_c 10.6679
_cell_angle_alpha 90.00
_cell_angle_beta 90.00
_cell_angle_gamma 120.00
loop_
_atom_site_label
_atom_site_type_symbol
_atom_site_fract_x
_atom_site_fract_y
_atom_site_fract_z
Si1 Si 0.0000 0.0000 0.2409
Si2 Si 0.0000 0.0000 0.7591
Si3 Si 0.3333 0.6667 0.2298
Si4 Si 0.3333 0.6667 0.7220
Si5 Si 0.6667 0.3333 0.2780
Si6 Si 0.6667 0.3333 0.7702
Ag1 Ag 0.0011 0.3613 0.9372
Ag2 Ag 0.0108 0.6956 0.5766
Ag3 Ag 0.3044 0.3152 0.5766
Ag4 Ag 0.3152 0.0108 0.4234
Ag5 Ag 0.3603 0.9989 0.9372
Ag6 Ag 0.3613 0.3603 0.0628
Ag7 Ag 0.6387 0.6397 0.9372
Ag8 Ag 0.6397 0.0011 0.0628
Ag9 Ag 0.6848 0.9892 0.5766
Ag10 Ag 0.6956 0.6848 0.4234
Ag11 Ag 0.9892 0.3044 0.4234
Ag12 Ag 0.9989 0.6387 0.0628
S1 S 0.0096 0.8281 0.8462
S2 S 0.0530 0.2013 0.6681
S3 S 0.1348 0.6234 0.8151
S4 S 0.1478 0.4964 0.6434
S5 S 0.1482 0.9470 0.6681
S6 S 0.1617 0.6722 0.3327
S7 S 0.1719 0.1815 0.8462
S8 S 0.1815 0.0096 0.1538
S9 S 0.1969 0.4628 0.1390
S10 S 0.2013 0.1482 0.3319
S11 S 0.2659 0.8031 0.1390
S12 S 0.3278 0.4895 0.3327
S13 S 0.3486 0.8522 0.6434
S14 S 0.3766 0.5114 0.8151
S15 S 0.4628 0.2659 0.8610
S16 S 0.4886 0.8652 0.8151
S17 S 0.4895 0.1617 0.6673
S18 S 0.4964 0.3486 0.3566
S19 S 0.5036 0.6514 0.6434
S20 S 0.5105 0.8383 0.3327
S21 S 0.5114 0.1348 0.1849
S22 S 0.5372 0.7341 0.1390
S23 S 0.6234 0.4886 0.1849
S24 S 0.6514 0.1478 0.3566
S25 S 0.6722 0.5105 0.6673
S26 S 0.7341 0.1969 0.8610
S27 S 0.7987 0.8518 0.6681
S28 S 0.8031 0.5372 0.8610
S29 S 0.8185 0.9904 0.8462
S30 S 0.8281 0.8185 0.1538
S31 S 0.8383 0.3278 0.6673
S32 S 0.8518 0.0530 0.3319
S33 S 0.8522 0.5036 0.3566
S34 S 0.8652 0.3766 0.1849
S35 S 0.9470 0.7987 0.3319
S36 S 0.9904 0.1719 0.1538
O1 O 0.0127 0.7922 0.9672
O2 O 0.0184 0.0958 0.1401
O3 O 0.0192 0.0959 0.6575
O4 O 0.0214 0.7781 0.3130
O5 O 0.0405 0.2362 0.2549
O6 O 0.0767 0.9808 0.6575
O7 O 0.0774 0.9816 0.1401
O8 O 0.0864 0.5625 0.9197
O9 O 0.0870 0.6194 0.2446
O10 O 0.0959 0.0767 0.3425
O11 O 0.0958 0.0774 0.8599
O12 O 0.0993 0.4382 0.1443
O13 O 0.1002 0.5602 0.6842
O14 O 0.1053 0.4582 0.5239
O15 O 0.1089 0.2301 0.8045
O16 O 0.1156 0.6977 0.7855
O17 O 0.1208 0.2515 0.5700
O18 O 0.1212 0.8911 0.8045
O19 O 0.1307 0.8792 0.5700
O20 O 0.1352 0.4346 0.7462
O21 O 0.1389 0.6817 0.4596
O22 O 0.1895 0.7764 0.0524
O23 O 0.1957 0.9595 0.2549
O24 O 0.2078 0.2205 0.9672
O25 O 0.2176 0.4407 0.2837
O26 O 0.2205 0.0127 0.0328
O27 O 0.2219 0.2433 0.3130
O28 O 0.2231 0.7824 0.2837
O29 O 0.2236 0.4131 0.0524
O30 O 0.2301 0.1212 0.1955
O31 O 0.2362 0.1957 0.7451
O32 O 0.2356 0.6410 0.3313
O33 O 0.2397 0.6546 0.8233
O34 O 0.2433 0.0214 0.6870
O35 O 0.2515 0.1307 0.4300
O36 O 0.2512 0.5727 0.6226
O37 O 0.2635 0.5691 0.1279
O38 O 0.2993 0.8648 0.7462
O39 O 0.3023 0.4179 0.7855
O40 O 0.3056 0.7365 0.1279
O41 O 0.3183 0.4572 0.4596
O42 O 0.3214 0.7488 0.6226
O43 O 0.3388 0.9007 0.1443
O44 O 0.3454 0.5850 0.8233
O45 O 0.3529 0.8947 0.5239
O46 O 0.3590 0.5946 0.3313
O47 O 0.3806 0.4676 0.2446
O48 O 0.4054 0.7644 0.3313
O49 O 0.4131 0.1895 0.9476
O50 O 0.4150 0.7603 0.8233
O51 O 0.4179 0.1156 0.2145
O52 O 0.4273 0.6786 0.6226
O53 O 0.4309 0.6944 0.1279
O54 O 0.4346 0.2993 0.2538
O55 O 0.4382 0.3388 0.8557
O56 O 0.4375 0.5239 0.9197
O57 O 0.4398 0.5400 0.6842
O58 O 0.4407 0.2231 0.7163
O59 O 0.4572 0.1389 0.5404
O60 O 0.4582 0.3529 0.4761
O61 O 0.4600 0.8998 0.6842
O62 O 0.4676 0.0870 0.7554
O63 O 0.4761 0.9136 0.9197
O64 O 0.5239 0.0864 0.0803
O65 O 0.5324 0.9130 0.2446
O66 O 0.5400 0.1002 0.3158
O67 O 0.5418 0.6471 0.5239
O68 O 0.5428 0.8611 0.4596
O69 O 0.5593 0.7769 0.2837
O70 O 0.5602 0.4600 0.3158
O71 O 0.5625 0.4761 0.0803
O72 O 0.5618 0.6612 0.1443
O73 O 0.5654 0.7007 0.7462
O74 O 0.5691 0.3056 0.8721
O75 O 0.5727 0.3214 0.3774
O76 O 0.5821 0.8844 0.7855
O77 O 0.5850 0.2397 0.1767
O78 O 0.5869 0.8105 0.0524
O79 O 0.5946 0.2356 0.6687
O80 O 0.6194 0.5324 0.7554
O81 O 0.6410 0.4054 0.6687
O82 O 0.6471 0.1053 0.4761
O83 O 0.6546 0.4150 0.1767
O84 O 0.6612 0.0993 0.8557
O85 O 0.6786 0.2512 0.3774
O86 O 0.6817 0.5428 0.5404
O87 O 0.6944 0.2635 0.8721
O88 O 0.6977 0.5821 0.2145
O89 O 0.7007 0.1352 0.2538
O90 O 0.7365 0.4309 0.8721
O91 O 0.7488 0.4273 0.3774
O92 O 0.7485 0.8693 0.5700
O93 O 0.7567 0.9786 0.3130
O94 O 0.7603 0.3454 0.1767
O95 O 0.7644 0.3590 0.6687
O96 O 0.7638 0.8043 0.2549
O97 O 0.7699 0.8788 0.8045
O98 O 0.7764 0.5869 0.9476
O99 O 0.7769 0.2176 0.7163
O100 O 0.7781 0.7567 0.6870
O101 O 0.7795 0.9873 0.9672
O102 O 0.7824 0.5593 0.7163
O103 O 0.7922 0.7795 0.0328
O104 O 0.8043 0.0405 0.7451
O105 O 0.8105 0.2236 0.9476
O106 O 0.8611 0.3183 0.5404
O107 O 0.8648 0.5654 0.2538
O108 O 0.8693 0.1208 0.4300
O109 O 0.8788 0.1089 0.1955
O110 O 0.8792 0.7485 0.4300
O111 O 0.8844 0.3023 0.2145
O112 O 0.8911 0.7699 0.1955
O113 O 0.8947 0.5418 0.4761
O114 O 0.8998 0.4398 0.3158
O115 O 0.9007 0.5618 0.8557
O116 O 0.9042 0.9226 0.1401
O117 O 0.9041 0.9233 0.6575
O118 O 0.9130 0.3806 0.7554
O119 O 0.9136 0.4375 0.0803
O120 O 0.9226 0.0184 0.8599
O121 O 0.9233 0.0192 0.3425
O122 O 0.9595 0.7638 0.7451
O123 O 0.9786 0.2219 0.6870
O124 O 0.9808 0.9041 0.3425
O125 O 0.9816 0.9042 0.8599
O126 O 0.9873 0.2078 0.0328
# - final energy (eV per cell) = -1057.235